Model a:
A plane-wave DFT calculation with PBE with a Hubbard U was carried out for a relaxed MgV2O4 crystal.

Cell lengths 2.9660, 9.7938, 9.9140 Å; angles 90.00, 90.00, 90.00 degrees
Last column: nearest neighbours and their distance in Å.
Fractional coordinates of all 28 atoms:
Mg (0.7299, 0.8631, 0.2500)  4 O 2.07-2.28
Mg (0.7299, 0.6369, 0.7500)  4 O 2.07-2.28
Mg (0.2701, 0.3631, 0.2500)  4 O 2.07-2.28
Mg (0.2701, 0.1369, 0.7500)  4 O 2.07-2.28
V (0.2403, 0.6178, 0.4268)  6 O 1.99-2.16
V (0.2403, 0.8822, 0.9268)  6 O 1.99-2.16
V (0.7597, 0.3822, 0.9268)  6 O 1.99-2.16
V (0.2403, 0.8822, 0.5732)  6 O 1.99-2.16
V (0.7597, 0.3822, 0.5732)  6 O 1.99-2.16
V (0.2403, 0.6178, 0.0732)  6 O 1.99-2.16
V (0.7597, 0.1178, 0.0732)  6 O 1.99-2.16
V (0.7597, 0.1178, 0.4268)  6 O 1.99-2.16
O (0.7593, 0.4780, 0.1141)  3 V 2.02-2.10
O (0.2407, 0.5220, 0.8859)  3 V 2.02-2.10
O (0.7130, 0.7500, 0.0000)  4 V 2.04-2.16
O (0.2407, 0.9780, 0.1141)  3 V 2.02-2.10
O (0.2407, 0.9780, 0.3859)  3 V 2.02-2.10
O (0.2250, 0.7858, 0.7500)  2 V 1.99, 2 Mg 2.07-2.09
O (0.7593, 0.0220, 0.8859)  3 V 2.02-2.10
O (0.7750, 0.2858, 0.7500)  2 V 1.99, 2 Mg 2.07-2.09
O (0.7130, 0.7500, 0.5000)  4 V 2.04-2.16
O (0.2870, 0.2500, 0.0000)  4 V 2.04-2.16
O (0.7593, 0.4780, 0.3859)  3 V 2.02-2.10
O (0.7750, 0.2142, 0.2500)  2 V 1.99, 2 Mg 2.07-2.09
O (0.2250, 0.7142, 0.2500)  2 V 1.99, 2 Mg 2.07-2.09
O (0.2870, 0.2500, 0.5000)  4 V 2.04-2.16
O (0.7593, 0.0220, 0.6141)  3 V 2.02-2.10
O (0.2407, 0.5220, 0.6141)  3 V 2.02-2.10

Model b:
A plane-wave DFT calculation with PBE with a Hubbard U was carried out for a relaxed MgV2O4 crystal.

Cell lengths 7.4996, 7.4996, 9.3567 Å; angles 52.55, 52.55, 23.26 degrees
Last column: nearest neighbours and their distance in Å.
Fractional coordinates of all 14 atoms:
Mg (0.3185, 0.3185, 0.6745)  5 O 2.08-2.11
Mg (0.6815, 0.6815, 0.3255)  5 O 2.08-2.11
V (0.6372, 0.6372, 0.6822)  5 O 1.95-2.16
V (0.1392, 0.1392, 0.0374)  4 O 1.95-2.06
V (0.8608, 0.8608, 0.9626)  4 O 1.95-2.06
V (0.3628, 0.3628, 0.3178)  5 O 1.95-2.16
O (0.8626, 0.8626, 0.1806)  3 V 1.98-2.06, 1 Mg 2.11
O (0.4689, 0.4689, 0.8188)  3 V 1.95-1.99
O (0.5311, 0.5311, 0.1812)  3 V 1.95-1.99
O (0.1374, 0.1374, 0.8194)  3 V 1.98-2.06, 1 Mg 2.11
O (0.1723, 0.1723, 0.4883)  2 Mg 2.09, 3 V 2.16-2.20
O (0.7812, 0.7812, 0.8560)  1 V 1.95, 2 Mg 2.08
O (0.8277, 0.8277, 0.5117)  2 Mg 2.09, 3 V 2.16-2.20
O (0.2188, 0.2188, 0.1440)  1 V 1.95, 2 Mg 2.08

If you had to bet on the most stable structure above, which would it be? Bet on model a.